Below is a geometry-optimized SmB7IO15 structure, with properties calculated at the PBE level.

Output
The calculation puts the formation energy at -2.33 eV/atom.

a = 8.155 Å, b = 17.393 Å, c = 12.646 Å
α = 90.00°, β = 129.31°, γ = 90.00°
Sites, in units of the cell vectors:
Sm  0.052  0.188  0.248
Sm  0.052  0.312  0.748
Sm  0.948  0.688  0.252
Sm  0.948  0.812  0.752
B  0.068  0.747  0.522
B  0.068  0.753  0.022
B  0.304  0.212  0.609
B  0.304  0.288  0.109
B  0.348  0.702  0.252
B  0.348  0.798  0.752
B  0.402  0.084  0.715
B  0.402  0.416  0.215
B  0.415  0.557  0.271
B  0.415  0.943  0.771
B  0.431  0.694  0.634
B  0.431  0.806  0.134
B  0.454  0.229  0.003
B  0.454  0.271  0.503
B  0.546  0.729  0.497
B  0.546  0.771  0.997
B  0.569  0.194  0.866
B  0.569  0.306  0.366
B  0.585  0.057  0.229
B  0.585  0.443  0.729
B  0.598  0.584  0.785
B  0.598  0.916  0.285
B  0.652  0.202  0.248
B  0.652  0.298  0.748
B  0.696  0.712  0.891
B  0.696  0.788  0.391
B  0.932  0.247  0.978
B  0.932  0.253  0.478
I  0.085  0.537  0.780
I  0.085  0.963  0.280
I  0.915  0.037  0.720
I  0.915  0.463  0.220
O  0.014  0.064  0.149
O  0.014  0.436  0.649
O  0.030  0.062  0.325
O  0.030  0.438  0.825
O  0.122  0.722  0.141
O  0.122  0.778  0.641
O  0.134  0.247  0.100
O  0.134  0.253  0.600
O  0.213  0.715  0.514
O  0.213  0.785  0.014
O  0.276  0.131  0.603
O  0.276  0.369  0.103
O  0.291  0.237  0.492
O  0.291  0.263  0.992
O  0.317  0.102  0.348
O  0.317  0.398  0.848
O  0.362  0.705  0.374
O  0.362  0.795  0.874
O  0.377  0.005  0.690
O  0.377  0.495  0.190
O  0.400  0.630  0.225
O  0.400  0.870  0.725
O  0.415  0.224  0.881
O  0.415  0.276  0.381
O  0.449  0.613  0.657
O  0.449  0.887  0.157
O  0.465  0.548  0.395
O  0.465  0.952  0.895
O  0.484  0.735  0.760
O  0.484  0.765  0.260
O  0.516  0.235  0.740
O  0.516  0.265  0.240
O  0.535  0.048  0.105
O  0.535  0.452  0.605
O  0.551  0.113  0.843
O  0.551  0.387  0.343
O  0.585  0.724  0.619
O  0.585  0.776  0.119
O  0.600  0.130  0.275
O  0.600  0.370  0.775
O  0.623  0.505  0.810
O  0.623  0.995  0.310
O  0.638  0.205  0.126
O  0.638  0.295  0.626
O  0.683  0.602  0.152
O  0.683  0.898  0.652
O  0.709  0.737  0.008
O  0.709  0.763  0.508
O  0.724  0.631  0.897
O  0.724  0.869  0.397
O  0.787  0.215  0.986
O  0.787  0.285  0.486
O  0.866  0.747  0.400
O  0.866  0.753  0.900
O  0.878  0.222  0.359
O  0.878  0.278  0.859
O  0.970  0.562  0.175
O  0.970  0.938  0.675
O  0.986  0.564  0.351
O  0.986  0.936  0.851

***

Below is a geometry-optimized Zn3B7IO13 structure, with properties calculated at the PBE level.

Output
The energy above the most stable polymorph in this dataset comes out at 0.007 eV per atom. The calculation puts the formation energy at -2.48 eV/atom.

a = 8.651 Å, b = 8.651 Å, c = 8.651 Å
α = 60.00°, β = 60.00°, γ = 60.00°
Sites, in units of the cell vectors:
Zn  0.250  0.250  0.750
Zn  0.250  0.750  0.250
Zn  0.250  0.750  0.750
Zn  0.750  0.250  0.250
Zn  0.750  0.250  0.750
Zn  0.750  0.750  0.250
B  0.000  0.000  0.500
B  0.000  0.500  0.000
B  0.000  0.500  0.500
B  0.170  0.170  0.170
B  0.170  0.170  0.490
B  0.170  0.490  0.170
B  0.490  0.170  0.170
B  0.500  0.000  0.000
B  0.500  0.000  0.500
B  0.500  0.500  0.000
B  0.670  0.670  0.670
B  0.670  0.670  0.990
B  0.670  0.990  0.670
B  0.990  0.670  0.670
I  0.000  0.000  0.000
I  0.500  0.500  0.500
O  0.046  0.493  0.814
O  0.046  0.647  0.493
O  0.046  0.814  0.647
O  0.147  0.314  0.546
O  0.147  0.546  0.993
O  0.147  0.993  0.314
O  0.250  0.250  0.250
O  0.314  0.147  0.993
O  0.314  0.546  0.147
O  0.314  0.993  0.546
O  0.493  0.046  0.647
O  0.493  0.647  0.814
O  0.493  0.814  0.046
O  0.546  0.147  0.314
O  0.546  0.314  0.993
O  0.546  0.993  0.147
O  0.647  0.046  0.814
O  0.647  0.493  0.046
O  0.647  0.814  0.493
O  0.750  0.750  0.750
O  0.814  0.046  0.493
O  0.814  0.493  0.647
O  0.814  0.647  0.046
O  0.993  0.147  0.546
O  0.993  0.314  0.147
O  0.993  0.546  0.314

***

Below is a geometry-optimized Zn3B7IO13 structure, with properties calculated at the PBE level.

Output
The energy above the most stable polymorph in this dataset comes out at 0.000 eV per atom. The calculation puts the formation energy at -2.49 eV/atom.

a = 8.694 Å, b = 8.696 Å, c = 12.300 Å
α = 90.00°, β = 90.00°, γ = 90.00°
Sites, in units of the cell vectors:
Zn  0.011  0.027  0.000
Zn  0.011  0.473  0.003
Zn  0.239  0.251  0.275
Zn  0.261  0.251  0.775
Zn  0.489  0.027  0.500
Zn  0.489  0.473  0.503
Zn  0.511  0.527  0.003
Zn  0.511  0.973  0.000
Zn  0.739  0.749  0.275
Zn  0.761  0.749  0.775
Zn  0.989  0.527  0.503
Zn  0.989  0.973  0.500
B  0.001  0.002  0.753
B  0.002  0.497  0.754
B  0.045  0.751  0.153
B  0.095  0.750  0.681
B  0.244  0.753  0.006
B  0.246  0.903  0.833
B  0.247  0.598  0.834
B  0.253  0.598  0.334
B  0.254  0.903  0.333
B  0.256  0.753  0.506
B  0.405  0.750  0.181
B  0.455  0.751  0.653
B  0.498  0.497  0.254
B  0.499  0.002  0.253
B  0.501  0.998  0.753
B  0.502  0.503  0.754
B  0.545  0.249  0.153
B  0.595  0.250  0.681
B  0.744  0.247  0.006
B  0.746  0.097  0.833
B  0.747  0.402  0.834
B  0.753  0.402  0.334
B  0.754  0.097  0.333
B  0.756  0.247  0.506
B  0.905  0.250  0.181
B  0.955  0.249  0.653
B  0.998  0.503  0.254
B  0.999  0.998  0.253
I  0.238  0.250  0.998
I  0.262  0.250  0.498
I  0.738  0.750  0.998
I  0.762  0.750  0.498
O  0.032  0.162  0.231
O  0.037  0.909  0.152
O  0.041  0.331  0.728
O  0.050  0.591  0.661
O  0.089  0.541  0.851
O  0.091  0.943  0.347
O  0.118  0.673  0.070
O  0.143  0.824  0.580
O  0.163  0.484  0.274
O  0.165  0.024  0.775
O  0.174  0.873  0.939
O  0.180  0.636  0.438
O  0.231  0.750  0.765
O  0.269  0.750  0.265
O  0.320  0.636  0.938
O  0.326  0.873  0.439
O  0.335  0.024  0.275
O  0.337  0.484  0.774
O  0.357  0.824  0.080
O  0.382  0.673  0.570
O  0.409  0.943  0.847
O  0.411  0.541  0.351
O  0.450  0.591  0.161
O  0.459  0.331  0.228
O  0.463  0.909  0.652
O  0.468  0.162  0.731
O  0.532  0.838  0.231
O  0.537  0.091  0.152
O  0.541  0.669  0.728
O  0.550  0.409  0.661
O  0.589  0.459  0.851
O  0.591  0.057  0.347
O  0.618  0.327  0.070
O  0.643  0.176  0.580
O  0.663  0.516  0.274
O  0.665  0.976  0.775
O  0.674  0.127  0.939
O  0.680  0.364  0.438
O  0.731  0.250  0.765
O  0.769  0.250  0.265
O  0.820  0.364  0.938
O  0.826  0.127  0.439
O  0.835  0.976  0.275
O  0.837  0.516  0.774
O  0.857  0.176  0.080
O  0.882  0.327  0.570
O  0.909  0.057  0.847
O  0.911  0.459  0.351
O  0.950  0.409  0.161
O  0.959  0.669  0.228
O  0.963  0.091  0.652
O  0.968  0.838  0.731

***

Below is a geometry-optimized BP4S3I3 structure, with properties calculated at the PBE level.

Output
The calculation puts the formation energy at -0.38 eV/atom.

a = 13.293 Å, b = 12.312 Å, c = 9.129 Å
α = 90.00°, β = 90.00°, γ = 90.00°
Sites, in units of the cell vectors:
B  0.138  0.250  0.033
B  0.362  0.750  0.533
B  0.638  0.250  0.467
B  0.862  0.750  0.967
P  0.029  0.158  0.520
P  0.029  0.342  0.520
P  0.113  0.250  0.820
P  0.176  0.250  0.485
P  0.324  0.750  0.985
P  0.387  0.750  0.320
P  0.471  0.658  0.020
P  0.471  0.842  0.020
P  0.529  0.158  0.980
P  0.529  0.342  0.980
P  0.613  0.250  0.680
P  0.676  0.250  0.015
P  0.824  0.750  0.515
P  0.887  0.750  0.180
P  0.971  0.658  0.480
P  0.971  0.842  0.480
S  0.032  0.116  0.744
S  0.032  0.384  0.744
S  0.244  0.250  0.693
S  0.256  0.750  0.193
S  0.468  0.616  0.244
S  0.468  0.884  0.244
S  0.532  0.116  0.756
S  0.532  0.384  0.756
S  0.744  0.250  0.807
S  0.756  0.750  0.307
S  0.968  0.616  0.256
S  0.968  0.884  0.256
I  0.015  0.750  0.864
I  0.223  0.098  0.080
I  0.223  0.402  0.080
I  0.277  0.598  0.580
I  0.277  0.902  0.580
I  0.485  0.250  0.364
I  0.515  0.750  0.636
I  0.723  0.098  0.420
I  0.723  0.402  0.420
I  0.777  0.598  0.920
I  0.777  0.902  0.920
I  0.985  0.250  0.136

***

Below is a geometry-optimized In3B structure, with properties calculated at the PBE level.

Output
The energy above the most stable polymorph in this dataset comes out at 0.010 eV per atom. The calculation puts the formation energy at 0.91 eV/atom.

a = 5.043 Å, b = 5.043 Å, c = 5.043 Å
α = 60.00°, β = 60.00°, γ = 60.00°
Sites, in units of the cell vectors:
In  0.000  0.000  0.000
In  0.250  0.250  0.250
In  0.750  0.750  0.750
B  0.500  0.500  0.500

***

Below is a geometry-optimized In3B structure, with properties calculated at the PBE level.

Output
The energy above the most stable polymorph in this dataset comes out at 0.000 eV per atom. The calculation puts the formation energy at 0.90 eV/atom.

a = 4.444 Å, b = 4.444 Å, c = 4.444 Å
α = 90.00°, β = 90.00°, γ = 90.00°
Sites, in units of the cell vectors:
In  0.000  0.000  0.500
In  0.000  0.500  0.000
In  0.500  0.000  0.000
B  0.500  0.500  0.500